# Li6V3P8O29 (GGA+U, optimized geometry)
# Symmetry   No. 1
# Energy above the most stable polymorph in this dataset   0.005 eV/atom
# Energy   -645.44 eV per cell
# Magnetic moment   6.0 μB/cell
# ΔH_f (0 K)   -2657 meV/atom
data_Li6V3P8O29
_chemical_formula_sum 'Li12 V6 P16 O58'
_cell_length_a 9.8080
_cell_length_b 9.8267
_cell_length_c 13.8821
_cell_angle_alpha 89.63
_cell_angle_beta 89.61
_cell_angle_gamma 60.31
_symmetry_space_group_name_H-M 'P 1'
_symmetry_Int_Tables_number 1
_symmetry_space_group_name_Hall 'P 1'
loop_
_atom_site_label
_atom_site_type_symbol
_atom_site_fract_x
_atom_site_fract_y
_atom_site_fract_z
Li1 Li 0.0000 0.0000 0.0000
Li2 Li 0.0008 0.5487 0.4929
Li3 Li 0.1838 0.4528 0.8773
Li4 Li 0.1883 0.9095 0.3737
Li5 Li 0.3247 0.3195 0.3728
Li6 Li 0.3267 0.9090 0.8774
Li7 Li 0.4196 0.0001 0.4943
Li8 Li 0.4231 0.1311 0.9999
Li9 Li 0.4366 0.5602 0.5517
Li10 Li 0.4377 0.5591 0.0567
Li11 Li 0.7837 0.3176 0.8804
Li12 Li 0.8721 0.1360 0.4957
V1 V 0.0956 0.6580 0.6886
V2 V 0.0968 0.7942 0.1888
V3 V 0.5322 0.2243 0.1889
V4 V 0.5376 0.7916 0.6862
V5 V 0.6698 0.2262 0.6888
V6 V 0.6721 0.6572 0.1860
P1 P 0.0118 0.5418 0.2780
P2 P 0.0130 0.9929 0.7789
P3 P 0.1895 0.9057 0.5934
P4 P 0.1908 0.4568 0.0936
P5 P 0.3303 0.3173 0.5944
P6 P 0.3305 0.9052 0.0950
P7 P 0.4172 0.1393 0.7793
P8 P 0.4203 0.9909 0.2794
P9 P 0.4320 0.5599 0.8110
P10 P 0.4318 0.5618 0.3097
P11 P 0.7630 0.8963 0.0627
P12 P 0.7684 0.8932 0.5628
P13 P 0.7802 0.3172 0.0950
P14 P 0.7833 0.4570 0.5940
P15 P 0.8658 0.5423 0.7817
P16 P 0.8671 0.1402 0.2797
O1 O 0.0024 0.8435 0.7598
O2 O 0.0054 0.7017 0.2586
O3 O 0.0137 0.9738 0.2762
O4 O 0.0148 0.5603 0.7777
O5 O 0.0966 0.9840 0.5045
O6 O 0.1009 0.0143 0.6864
O7 O 0.1014 0.9802 0.8695
O8 O 0.1029 0.4693 0.3683
O9 O 0.1040 0.4344 0.1864
O10 O 0.1084 0.4628 0.0034
O11 O 0.1791 0.8913 0.0956
O12 O 0.1803 0.4820 0.5952
O13 O 0.2108 0.7405 0.6115
O14 O 0.2133 0.6004 0.1114
O15 O 0.2812 0.7155 0.2729
O16 O 0.2850 0.5534 0.7719
O17 O 0.3088 0.2288 0.6869
O18 O 0.3106 0.0123 0.1868
O19 O 0.3372 0.9841 0.3694
O20 O 0.3399 0.9867 0.0051
O21 O 0.3416 0.2271 0.5049
O22 O 0.3426 0.2285 0.8699
O23 O 0.3526 0.8926 0.5929
O24 O 0.3577 0.3076 0.0980
O25 O 0.4263 0.4131 0.2732
O26 O 0.4284 0.7124 0.7700
O27 O 0.4293 0.5634 0.4180
O28 O 0.4300 0.5621 0.9194
O29 O 0.4314 0.1428 0.2784
O30 O 0.4343 0.9758 0.7789
O31 O 0.4732 0.7404 0.1081
O32 O 0.4736 0.3398 0.6105
O33 O 0.5759 0.1327 0.7581
O34 O 0.5763 0.5635 0.2637
O35 O 0.5787 0.8450 0.2642
O36 O 0.5861 0.4126 0.7731
O37 O 0.6104 0.0428 0.1036
O38 O 0.6143 0.3366 0.1112
O39 O 0.6139 0.8953 0.6054
O40 O 0.6154 0.6002 0.6102
O41 O 0.7158 0.1314 0.2592
O42 O 0.7181 0.7030 0.7638
O43 O 0.7597 0.7501 0.1098
O44 O 0.7606 0.8978 0.9555
O45 O 0.7626 0.3084 0.5973
O46 O 0.7630 0.4797 0.0961
O47 O 0.7639 0.8937 0.4555
O48 O 0.7720 0.0395 0.6042
O49 O 0.8480 0.5633 0.2763
O50 O 0.8490 0.1413 0.7790
O51 O 0.8574 0.2228 0.0061
O52 O 0.8575 0.2216 0.3712
O53 O 0.8593 0.4576 0.8688
O54 O 0.8660 0.4649 0.5062
O55 O 0.8876 0.4364 0.6872
O56 O 0.8892 0.2255 0.1867
O57 O 0.9123 0.7401 0.6040
O58 O 0.9117 0.8979 0.1031

=====

# Li6Co6O5F11 (GGA+U, optimized geometry)
# Symmetry   No. 1
# Energy above the most stable polymorph in this dataset   0.010 eV/atom
# Energy   -144.55 eV per cell
# Magnetic moment   21.0 μB/cell
# ΔH_f (0 K)   -2250 meV/atom
data_Li6Co6O5F11
_chemical_formula_sum 'Li6 Co6 O5 F11'
_cell_length_a 6.0144
_cell_length_b 6.0443
_cell_length_c 10.4193
_cell_angle_alpha 106.38
_cell_angle_beta 90.12
_cell_angle_gamma 119.79
_symmetry_space_group_name_H-M 'P 1'
_symmetry_Int_Tables_number 1
_symmetry_space_group_name_Hall 'P 1'
loop_
_atom_site_label
_atom_site_type_symbol
_atom_site_fract_x
_atom_site_fract_y
_atom_site_fract_z
Li1 Li 0.0000 0.0000 0.0000
Li2 Li 0.0600 0.6176 0.6876
Li3 Li 0.1240 0.2378 0.3670
Li4 Li 0.2990 0.6201 0.9358
Li5 Li 0.4903 0.9940 0.4887
Li6 Li 0.6215 0.2312 0.8710
Co1 Co 0.0228 0.6001 0.1839
Co2 Co 0.0680 0.1379 0.6739
Co3 Co 0.5473 0.6118 0.6829
Co4 Co 0.5645 0.1288 0.1813
Co5 Co 0.5765 0.5996 0.1816
Co6 Co 0.8106 0.5910 0.4096
O1 O 0.1837 0.3510 0.5756
O2 O 0.4614 0.3789 0.3040
O3 O 0.6795 0.3749 0.0651
O4 O 0.9054 0.8374 0.3064
O5 O 0.9255 0.3761 0.3072
F1 F 0.1604 0.8608 0.5640
F2 F 0.1879 0.8513 0.0608
F3 F 0.1978 0.3965 0.0649
F4 F 0.4150 0.3620 0.8053
F5 F 0.4199 0.8368 0.8022
F6 F 0.4204 0.8459 0.2900
F7 F 0.6624 0.8552 0.0608
F8 F 0.6955 0.3974 0.5631
F9 F 0.6984 0.8653 0.5633
F10 F 0.9299 0.8753 0.7886
F11 F 0.9494 0.3621 0.8021

=====

# LiVPHO5 (GGA+U, optimized geometry)
# Symmetry   No. 2
# Energy above the most stable polymorph in this dataset   0.076 eV/atom
# Energy   -244.56 eV per cell
# Magnetic moment   0.0 μB/cell
# ΔH_f (0 K)   -2415 meV/atom
data_LiVPHO5
_chemical_formula_sum 'Li4 V4 P4 H4 O20'
_cell_length_a 6.2107
_cell_length_b 6.5804
_cell_length_c 10.6774
_cell_angle_alpha 103.45
_cell_angle_beta 100.57
_cell_angle_gamma 104.45
_symmetry_space_group_name_H-M 'P 1'
_symmetry_Int_Tables_number 1
_symmetry_space_group_name_Hall 'P 1'
loop_
_atom_site_label
_atom_site_type_symbol
_atom_site_fract_x
_atom_site_fract_y
_atom_site_fract_z
Li1 Li 0.2497 0.2494 0.2498
Li2 Li 0.2498 0.7500 0.2495
Li3 Li 0.7502 0.2500 0.7505
Li4 Li 0.7503 0.7506 0.7502
V1 V 0.2462 0.8569 0.6292
V2 V 0.2543 0.6430 0.8702
V3 V 0.7457 0.3570 0.1298
V4 V 0.7538 0.1431 0.3708
P1 P 0.1285 0.3072 0.5770
P2 P 0.3717 0.1927 0.9232
P3 P 0.6283 0.8073 0.0768
P4 P 0.8715 0.6928 0.4230
H1 H 0.1364 0.4167 0.0830
H2 H 0.3623 0.0828 0.4170
H3 H 0.6377 0.9172 0.5830
H4 H 0.8636 0.5833 0.9170
O1 O 0.0774 0.4187 0.1620
O2 O 0.1039 0.2842 0.4254
O3 O 0.1266 0.7640 0.4165
O4 O 0.2277 0.3342 0.8782
O5 O 0.2483 0.9488 0.8338
O6 O 0.2521 0.5513 0.6657
O7 O 0.2727 0.1659 0.6219
O8 O 0.3728 0.7357 0.0826
O9 O 0.3955 0.2150 0.0746
O10 O 0.4222 0.0813 0.3383
O11 O 0.5778 0.9187 0.6617
O12 O 0.6045 0.7850 0.9254
O13 O 0.6272 0.2643 0.9174
O14 O 0.7273 0.8341 0.3781
O15 O 0.7479 0.4487 0.3343
O16 O 0.7517 0.0512 0.1662
O17 O 0.7723 0.6658 0.1218
O18 O 0.8734 0.2360 0.5835
O19 O 0.8961 0.7158 0.5746
O20 O 0.9226 0.5813 0.8380

=====

# K3CrPCO7 (GGA+U, optimized geometry)
# Symmetry   No. 11
# Energy   -171.91 eV per cell
# Magnetic moment   8.0 μB/cell
# ΔH_f (0 K)   -2346 meV/atom
data_K3CrPCO7
_chemical_formula_sum 'K6 Cr2 P2 C2 O14'
_cell_length_a 5.7332
_cell_length_b 6.8071
_cell_length_c 9.9434
_cell_angle_alpha 90.00
_cell_angle_beta 91.37
_cell_angle_gamma 90.00
_symmetry_space_group_name_H-M 'P 1'
_symmetry_Int_Tables_number 1
_symmetry_space_group_name_Hall 'P 1'
loop_
_atom_site_label
_atom_site_type_symbol
_atom_site_fract_x
_atom_site_fract_y
_atom_site_fract_z
K1 K 0.2407 0.2500 0.0783
K2 K 0.2461 0.5102 0.7283
K3 K 0.2461 0.9898 0.7283
K4 K 0.7539 0.0102 0.2717
K5 K 0.7539 0.4898 0.2717
K6 K 0.7593 0.7500 0.9217
Cr1 Cr 0.2433 0.7500 0.3584
Cr2 Cr 0.7567 0.2500 0.6416
P1 P 0.2956 0.2500 0.4232
P2 P 0.7044 0.7500 0.5768
C1 C 0.2696 0.7500 0.0799
C2 C 0.7304 0.2500 0.9201
O1 O 0.0875 0.7500 0.1588
O2 O 0.1394 0.2500 0.5470
O3 O 0.2386 0.7500 0.9505
O4 O 0.2481 0.0649 0.3322
O5 O 0.2481 0.4351 0.3322
O6 O 0.4386 0.7500 0.5353
O7 O 0.4766 0.7500 0.1352
O8 O 0.5234 0.2500 0.8648
O9 O 0.5614 0.2500 0.4647
O10 O 0.7519 0.5649 0.6678
O11 O 0.7519 0.9351 0.6678
O12 O 0.7614 0.2500 0.0495
O13 O 0.8606 0.7500 0.4530
O14 O 0.9125 0.2500 0.8412

=====

# MnP4O11 (GGA+U, optimized geometry)
# Symmetry   No. 14
# Energy above the most stable polymorph in this dataset   0.003 eV/atom
# Energy   -467.45 eV per cell
# Magnetic moment   20.0 μB/cell
# ΔH_f (0 K)   -2553 meV/atom
data_MnP4O11
_chemical_formula_sum 'Mn4 P16 O44'
_cell_length_a 5.5805
_cell_length_b 22.7361
_cell_length_c 7.6368
_cell_angle_alpha 90.00
_cell_angle_beta 109.81
_cell_angle_gamma 90.00
_symmetry_space_group_name_H-M 'P 1'
_symmetry_Int_Tables_number 1
_symmetry_space_group_name_Hall 'P 1'
loop_
_atom_site_label
_atom_site_type_symbol
_atom_site_fract_x
_atom_site_fract_y
_atom_site_fract_z
Mn1 Mn 0.0039 0.1134 0.3717
Mn2 Mn 0.0039 0.3866 0.8717
Mn3 Mn 0.9961 0.6134 0.1283
Mn4 Mn 0.9961 0.8866 0.6283
P1 P 0.3153 0.0723 0.8193
P2 P 0.3153 0.4277 0.3193
P3 P 0.3327 0.6791 0.5547
P4 P 0.3327 0.8209 0.0547
P5 P 0.4034 0.6963 0.9643
P6 P 0.4034 0.8037 0.4643
P7 P 0.4076 0.0339 0.2076
P8 P 0.4076 0.4661 0.7076
P9 P 0.5924 0.5339 0.2924
P10 P 0.5924 0.9661 0.7924
P11 P 0.5966 0.1963 0.5357
P12 P 0.5966 0.3037 0.0357
P13 P 0.6673 0.1791 0.9453
P14 P 0.6673 0.3209 0.4453
P15 P 0.6847 0.5723 0.6807
P16 P 0.6847 0.9277 0.1807
O1 O 0.0892 0.0751 0.6502
O2 O 0.0892 0.4249 0.1502
O3 O 0.1039 0.6562 0.4092
O4 O 0.1039 0.8438 0.9092
O5 O 0.1985 0.6824 0.0409
O6 O 0.1985 0.8176 0.5409
O7 O 0.2292 0.0434 0.3108
O8 O 0.2292 0.4566 0.8108
O9 O 0.2434 0.0464 0.9861
O10 O 0.2434 0.4536 0.4861
O11 O 0.2727 0.6954 0.7356
O12 O 0.2727 0.8046 0.2356
O13 O 0.3393 0.5625 0.2468
O14 O 0.3393 0.9375 0.7468
O15 O 0.3496 0.1650 0.4824
O16 O 0.3496 0.3350 0.9824
O17 O 0.4278 0.1361 0.8858
O18 O 0.4278 0.3639 0.3858
O19 O 0.4444 0.5380 0.6951
O20 O 0.4444 0.9620 0.1951
O21 O 0.4684 0.7333 0.4981
O22 O 0.4684 0.7667 0.9981
O23 O 0.5316 0.2333 0.0019
O24 O 0.5316 0.2667 0.5019
O25 O 0.5556 0.0380 0.8049
O26 O 0.5556 0.4620 0.3049
O27 O 0.5722 0.6361 0.6142
O28 O 0.5722 0.8639 0.1142
O29 O 0.6504 0.6650 0.0176
O30 O 0.6504 0.8350 0.5176
O31 O 0.6607 0.0625 0.2532
O32 O 0.6607 0.4375 0.7532
O33 O 0.7273 0.1954 0.7644
O34 O 0.7273 0.3046 0.2644
O35 O 0.7566 0.5464 0.5139
O36 O 0.7566 0.9536 0.0139
O37 O 0.7708 0.5434 0.1892
O38 O 0.7708 0.9566 0.6892
O39 O 0.8015 0.1824 0.4591
O40 O 0.8015 0.3176 0.9591
O41 O 0.8961 0.1562 0.0908
O42 O 0.8961 0.3438 0.5908
O43 O 0.9108 0.5751 0.8498
O44 O 0.9108 0.9249 0.3498

=====

What is the formula in the first record? Li6V3P8O29

=====

Copy entry 5 word for word.
# MnP4O11 (GGA+U, optimized geometry)
# Symmetry   No. 14
# Energy above the most stable polymorph in this dataset   0.003 eV/atom
# Energy   -467.45 eV per cell
# Magnetic moment   20.0 μB/cell
# ΔH_f (0 K)   -2553 meV/atom
data_MnP4O11
_chemical_formula_sum 'Mn4 P16 O44'
_cell_length_a 5.5805
_cell_length_b 22.7361
_cell_length_c 7.6368
_cell_angle_alpha 90.00
_cell_angle_beta 109.81
_cell_angle_gamma 90.00
_symmetry_space_group_name_H-M 'P 1'
_symmetry_Int_Tables_number 1
_symmetry_space_group_name_Hall 'P 1'
loop_
_atom_site_label
_atom_site_type_symbol
_atom_site_fract_x
_atom_site_fract_y
_atom_site_fract_z
Mn1 Mn 0.0039 0.1134 0.3717
Mn2 Mn 0.0039 0.3866 0.8717
Mn3 Mn 0.9961 0.6134 0.1283
Mn4 Mn 0.9961 0.8866 0.6283
P1 P 0.3153 0.0723 0.8193
P2 P 0.3153 0.4277 0.3193
P3 P 0.3327 0.6791 0.5547
P4 P 0.3327 0.8209 0.0547
P5 P 0.4034 0.6963 0.9643
P6 P 0.4034 0.8037 0.4643
P7 P 0.4076 0.0339 0.2076
P8 P 0.4076 0.4661 0.7076
P9 P 0.5924 0.5339 0.2924
P10 P 0.5924 0.9661 0.7924
P11 P 0.5966 0.1963 0.5357
P12 P 0.5966 0.3037 0.0357
P13 P 0.6673 0.1791 0.9453
P14 P 0.6673 0.3209 0.4453
P15 P 0.6847 0.5723 0.6807
P16 P 0.6847 0.9277 0.1807
O1 O 0.0892 0.0751 0.6502
O2 O 0.0892 0.4249 0.1502
O3 O 0.1039 0.6562 0.4092
O4 O 0.1039 0.8438 0.9092
O5 O 0.1985 0.6824 0.0409
O6 O 0.1985 0.8176 0.5409
O7 O 0.2292 0.0434 0.3108
O8 O 0.2292 0.4566 0.8108
O9 O 0.2434 0.0464 0.9861
O10 O 0.2434 0.4536 0.4861
O11 O 0.2727 0.6954 0.7356
O12 O 0.2727 0.8046 0.2356
O13 O 0.3393 0.5625 0.2468
O14 O 0.3393 0.9375 0.7468
O15 O 0.3496 0.1650 0.4824
O16 O 0.3496 0.3350 0.9824
O17 O 0.4278 0.1361 0.8858
O18 O 0.4278 0.3639 0.3858
O19 O 0.4444 0.5380 0.6951
O20 O 0.4444 0.9620 0.1951
O21 O 0.4684 0.7333 0.4981
O22 O 0.4684 0.7667 0.9981
O23 O 0.5316 0.2333 0.0019
O24 O 0.5316 0.2667 0.5019
O25 O 0.5556 0.0380 0.8049
O26 O 0.5556 0.4620 0.3049
O27 O 0.5722 0.6361 0.6142
O28 O 0.5722 0.8639 0.1142
O29 O 0.6504 0.6650 0.0176
O30 O 0.6504 0.8350 0.5176
O31 O 0.6607 0.0625 0.2532
O32 O 0.6607 0.4375 0.7532
O33 O 0.7273 0.1954 0.7644
O34 O 0.7273 0.3046 0.2644
O35 O 0.7566 0.5464 0.5139
O36 O 0.7566 0.9536 0.0139
O37 O 0.7708 0.5434 0.1892
O38 O 0.7708 0.9566 0.6892
O39 O 0.8015 0.1824 0.4591
O40 O 0.8015 0.3176 0.9591
O41 O 0.8961 0.1562 0.0908
O42 O 0.8961 0.3438 0.5908
O43 O 0.9108 0.5751 0.8498
O44 O 0.9108 0.9249 0.3498

=====

ΔH_f (0 K) of number 2 (Li6Co6O5F11)? -2250 meV/atom

=====

Which value of magnetic moment does entry 5 give? 20.0 μB/cell